Crystalline Li13Co11O24 at its relaxed geometry. Source: the Materials Project database, functional PBE+U.

Cell and atoms, written as extended XYZ:
```
96
Lattice="9.413 -0.001 6.483 3.969 5.557 19.440 0.005 -0.004 15.120" Properties=species:S:1:pos:R:3 pbc="T T T"
O 5.739 1.537 19.387
O 3.045 3.343 23.309
O 12.110 5.066 27.540
O 12.118 5.118 35.147
O 7.960 2.238 23.625
O 7.906 1.365 13.499
O 1.266 0.483 13.503
O 9.976 5.068 26.066
O 8.135 0.313 10.858
O 8.030 0.453 18.303
O 5.757 1.362 12.027
O 10.190 4.180 30.782
O 2.948 4.020 18.411
O 10.097 4.062 23.133
O 3.290 1.485 17.913
O 3.165 2.337 20.376
O 10.444 2.337 25.385
O 5.484 4.185 27.546
O 5.882 0.362 9.090
O 2.952 3.225 15.660
O 7.501 5.197 31.962
O 7.638 4.184 29.007
O 5.397 4.067 19.892
O 3.185 1.362 10.260
O 10.193 3.385 28.031
O 3.432 0.310 7.615
O 1.142 1.395 8.699
O 5.415 3.381 24.898
O 12.340 4.188 32.248
O 5.181 5.166 22.817
O 7.795 2.236 16.221
O 10.450 1.533 22.628
O 7.989 1.494 21.166
O 5.640 2.208 14.479
O 5.701 2.240 22.063
O 9.944 5.239 33.432
O 7.658 3.220 18.895
O 7.744 3.338 26.550
O 10.436 2.286 17.778
O 5.346 5.169 30.221
O 1.183 0.354 5.837
O 10.214 3.216 20.677
O 3.197 2.166 13.009
O 5.987 0.485 16.742
O 5.503 3.220 17.435
O 3.415 0.485 14.975
O 7.440 5.165 24.379
O 7.727 4.023 21.544
Co 4.586 0.924 13.501
Co 11.375 2.760 16.206
Co 6.692 2.789 20.549
Co 1.988 2.777 17.280
Co 2.204 0.922 11.867
Co 6.967 0.925 15.135
Co 2.109 1.855 14.578
Co 8.798 4.630 27.538
Co 11.153 4.628 29.162
Co 11.277 3.702 26.463
Co 2.327 0.002 9.188
Co 11.179 4.644 36.719
Co 6.450 4.628 33.481
Co 9.024 2.791 22.158
Co 6.691 2.777 12.961
Co 2.237 0.896 4.310
Co 4.343 2.774 18.904
Co 11.032 5.550 31.863
Co 6.845 1.846 17.815
Co 6.935 0.952 22.693
Co 4.118 4.614 24.284
Co 6.449 4.616 25.893
Li 2.129 1.845 22.138
Li 6.327 5.522 21.104
Li 4.215 3.753 29.168
Li 6.571 3.702 23.221
Li 4.330 2.783 26.469
Li 8.884 3.704 24.811
Li 6.815 1.882 25.338
Li 9.292 0.924 16.742
Li 9.047 2.741 14.626
Li 9.172 1.841 19.389
Li 9.412 0.006 14.096
Li 7.043 0.003 4.866
Li 6.568 3.704 15.661
Li 9.289 0.925 9.183
Li 8.927 3.652 17.274
Li 8.643 5.523 22.698
Li 9.408 0.002 6.492
Li 9.175 1.845 26.994
Li 4.473 1.854 16.198
Li 8.669 5.550 30.244
Li 4.258 3.700 21.631
Li 4.095 4.664 31.816
Li 4.499 1.881 23.743
Li 11.279 3.700 34.022
Li 8.811 4.622 19.972
Li 4.584 0.925 5.942
```

Results
The formation energy from the elements comes out at -8080 kJ/mol of formula units. The space group is P2_1/c, No. 14. The calculation puts the total magnetization at 0.003 μB/cell.